Record 1
Compound: Na8Sc2Ti2Si5SO24
Source: the Materials Project
Functional: GGA-PBE
Structure: optimized geometry

Computed properties:
ΔE_f = -2944.0 meV/atom
density = 2.880 g/cm³
DFT total energy = -7.05 eV/atom

Cell: 9.089 9.103 22.332 Å, 90.27 90.27 119.90°
Fractional coordinates of all 126 atoms:
1 Na 0.000 0.000 0.000
2 Na 0.001 0.364 0.754
3 Na 0.034 0.684 0.176
4 Na 0.039 0.056 0.669
5 Na 0.289 0.686 0.674
6 Na 0.305 0.329 0.170
7 Na 0.323 0.025 0.585
8 Na 0.324 0.656 0.337
9 Na 0.330 0.386 0.837
10 Na 0.347 0.034 0.087
11 Na 0.368 0.357 0.504
12 Na 0.374 0.730 0.000
13 Na 0.618 0.346 0.005
14 Na 0.627 0.985 0.501
15 Na 0.652 0.059 0.169
16 Na 0.657 0.693 0.919
17 Na 0.660 0.328 0.670
18 Na 0.666 0.693 0.422
19 Na 0.687 0.018 0.838
20 Na 0.700 0.385 0.337
21 Na 0.963 0.024 0.339
22 Na 0.972 0.660 0.835
23 Na 0.996 0.729 0.504
24 Na 0.997 0.364 0.256
25 Sc 0.323 0.022 0.739
26 Sc 0.338 0.024 0.239
27 Sc 0.338 0.031 0.934
28 Sc 0.645 0.683 0.068
29 Sc 0.666 0.681 0.566
30 Sc 0.995 0.354 0.106
31 Ti 0.000 0.340 0.898
32 Ti 0.009 0.371 0.601
33 Ti 0.329 0.022 0.438
34 Ti 0.645 0.667 0.277
35 Ti 0.658 0.668 0.775
36 Ti 0.995 0.355 0.403
37 Si 0.029 0.016 0.837
38 Si 0.036 0.729 0.337
39 Si 0.286 0.352 0.003
40 Si 0.287 0.651 0.501
41 Si 0.323 0.310 0.338
42 Si 0.330 0.724 0.837
43 Si 0.367 0.395 0.669
44 Si 0.369 0.691 0.172
45 Si 0.626 0.023 0.338
46 Si 0.631 0.318 0.837
47 Si 0.662 0.397 0.170
48 Si 0.705 0.064 0.003
49 Si 0.707 0.351 0.503
50 Si 0.956 0.687 0.670
51 Si 0.999 0.071 0.503
52 S 0.666 0.982 0.671
53 S 0.952 0.978 0.171
54 S 0.997 0.649 0.003
55 O 0.011 0.189 0.844
56 O 0.014 0.540 0.345
57 O 0.024 0.571 0.058
58 O 0.030 0.196 0.562
59 O 0.106 0.976 0.896
60 O 0.125 0.998 0.175
61 O 0.133 0.859 0.395
62 O 0.147 0.852 0.675
63 O 0.151 0.818 0.999
64 O 0.152 0.066 0.779
65 O 0.152 0.808 0.278
66 O 0.159 0.535 0.845
67 O 0.161 0.339 0.345
68 O 0.163 0.558 0.561
69 O 0.171 0.326 0.062
70 O 0.172 0.056 0.497
71 O 0.177 0.379 0.665
72 O 0.186 0.516 0.169
73 O 0.188 0.382 0.945
74 O 0.191 0.523 0.445
75 O 0.287 0.198 0.277
76 O 0.290 0.805 0.778
77 O 0.298 0.836 0.497
78 O 0.301 0.180 0.999
79 O 0.345 0.858 0.175
80 O 0.352 0.209 0.675
81 O 0.364 0.221 0.395
82 O 0.370 0.844 0.896
83 O 0.464 0.521 0.728
84 O 0.473 0.670 0.507
85 O 0.474 0.665 0.229
86 O 0.475 0.524 0.003
87 O 0.486 0.485 0.611
88 O 0.488 0.728 0.112
89 O 0.490 0.213 0.174
90 O 0.495 0.988 0.395
91 O 0.499 0.500 0.332
92 O 0.501 0.706 0.828
93 O 0.508 0.245 0.895
94 O 0.512 0.001 0.675
95 O 0.514 0.040 0.999
96 O 0.519 0.179 0.497
97 O 0.551 0.066 0.279
98 O 0.553 0.199 0.777
99 O 0.638 0.877 0.616
100 O 0.639 0.488 0.111
101 O 0.644 0.852 0.331
102 O 0.647 0.508 0.829
103 O 0.689 0.524 0.229
104 O 0.690 0.521 0.505
105 O 0.690 0.901 0.724
106 O 0.701 0.882 0.004
107 O 0.788 0.183 0.063
108 O 0.802 0.323 0.562
109 O 0.815 0.192 0.346
110 O 0.820 0.152 0.666
111 O 0.822 0.347 0.847
112 O 0.829 0.659 0.728
113 O 0.829 0.886 0.507
114 O 0.831 0.168 0.945
115 O 0.831 0.382 0.445
116 O 0.835 0.382 0.170
117 O 0.837 0.853 0.827
118 O 0.845 0.668 0.009
119 O 0.847 0.715 0.331
120 O 0.847 0.898 0.224
121 O 0.873 0.726 0.612
122 O 0.875 0.875 0.116
123 O 0.965 0.509 0.665
124 O 0.969 0.150 0.167
125 O 0.970 0.541 0.949
126 O 0.971 0.165 0.445

***

Record 2
Compound: B
Source: the Materials Project
Functional: GGA-PBE
Structure: optimized geometry

Computed properties:
ΔE_f = 27.4 meV/atom
density = 2.569 g/cm³
relative energy among the computed polymorphs = 0.0274 eV/atom
DFT total energy = -6.65 eV/atom

Cell: 5.043 5.612 6.915 Å, 90.00 90.00 90.00°
Fractional coordinates of all 28 atoms:
1 B 0.148 0.228 0.000
2 B 0.153 0.407 0.209
3 B 0.153 0.407 0.791
4 B 0.161 0.719 0.126
5 B 0.161 0.719 0.874
6 B 0.165 0.992 0.500
7 B 0.170 0.479 0.500
8 B 0.330 0.979 0.000
9 B 0.335 0.492 0.000
10 B 0.339 0.219 0.374
11 B 0.339 0.219 0.626
12 B 0.347 0.907 0.291
13 B 0.347 0.907 0.709
14 B 0.352 0.728 0.500
15 B 0.648 0.272 0.500
16 B 0.653 0.093 0.291
17 B 0.653 0.093 0.709
18 B 0.661 0.781 0.374
19 B 0.661 0.781 0.626
20 B 0.665 0.508 0.000
21 B 0.670 0.021 0.000
22 B 0.830 0.521 0.500
23 B 0.835 0.008 0.500
24 B 0.839 0.281 0.126
25 B 0.839 0.281 0.874
26 B 0.847 0.593 0.209
27 B 0.847 0.593 0.791
28 B 0.852 0.772 0.000

***

Record 3
Compound: Pr3AsS5Cl2
Source: the Materials Project
Functional: GGA-PBE
Structure: optimized geometry

Computed properties:
ΔE_f = -2037.9 meV/atom
density = 4.440 g/cm³
DFT total energy = -5.64 eV/atom

Cell: 11.635 11.635 7.114 Å, 98.41 98.41 34.96°
Fractional coordinates of all 22 atoms:
1 Pr 0.090 0.510 0.136
2 Pr 0.202 0.798 0.500
3 Pr 0.360 0.946 0.153
4 Pr 0.510 0.090 0.636
5 Pr 0.798 0.202 0.000
6 Pr 0.946 0.360 0.653
7 As 0.263 0.645 0.944
8 As 0.645 0.263 0.444
9 S 0.000 0.838 0.134
10 S 0.015 0.131 0.331
11 S 0.131 0.015 0.831
12 S 0.174 0.285 0.397
13 S 0.285 0.174 0.897
14 S 0.333 0.439 0.474
15 S 0.439 0.333 0.974
16 S 0.456 0.606 0.169
17 S 0.606 0.456 0.669
18 S 0.838 0.000 0.634
19 Cl 0.551 0.770 0.519
20 Cl 0.684 0.886 0.271
21 Cl 0.770 0.551 0.019
22 Cl 0.886 0.684 0.771

***

Record 4
Compound: LaMgS3
Source: the Materials Project
Functional: GGA-PBE
Structure: optimized geometry

Computed properties:
ΔE_f = -1586.8 meV/atom
density = 3.019 g/cm³
relative energy among the computed polymorphs = 0.1212 eV/atom
DFT total energy = -5.07 eV/atom

Cell: 8.007 11.559 7.958 Å, 90.00 129.21 90.00°
Fractional coordinates of all 20 atoms:
1 La 0.055 0.000 0.265
2 La 0.945 0.000 0.735
3 La 0.555 0.500 0.265
4 La 0.445 0.500 0.735
5 Mg 0.000 0.341 0.000
6 Mg 0.000 0.659 0.000
7 Mg 0.500 0.841 0.000
8 Mg 0.500 0.159 0.000
9 S 0.227 0.155 0.139
10 S 0.773 0.845 0.861
11 S 0.773 0.155 0.861
12 S 0.227 0.845 0.139
13 S 0.727 0.655 0.139
14 S 0.273 0.345 0.861
15 S 0.273 0.655 0.861
16 S 0.727 0.345 0.139
17 S 0.293 0.000 0.723
18 S 0.707 0.000 0.277
19 S 0.793 0.500 0.723
20 S 0.207 0.500 0.277

***

Record 5
Compound: Nd2Ru2O7
Source: the Materials Project
Functional: GGA-PBE
Structure: optimized geometry

Computed properties:
ΔE_f = -2507.2 meV/atom
density = 7.049 g/cm³
DFT total energy = -7.77 eV/atom

Cell: 7.378 7.378 7.378 Å, 60.00 60.00 60.00°
Fractional coordinates of all 22 atoms:
1 Nd 0.000 0.000 0.000
2 Nd 0.000 0.000 0.500
3 Nd 0.000 0.500 0.000
4 Nd 0.500 0.000 0.000
5 Ru 0.000 0.500 0.500
6 Ru 0.500 0.000 0.500
7 Ru 0.500 0.500 0.000
8 Ru 0.500 0.500 0.500
9 O 0.125 0.125 0.125
10 O 0.171 0.171 0.579
11 O 0.171 0.579 0.171
12 O 0.171 0.579 0.579
13 O 0.421 0.421 0.829
14 O 0.421 0.829 0.421
15 O 0.421 0.829 0.829
16 O 0.579 0.171 0.171
17 O 0.579 0.171 0.579
18 O 0.579 0.579 0.171
19 O 0.829 0.421 0.421
20 O 0.829 0.421 0.829
21 O 0.829 0.829 0.421
22 O 0.875 0.875 0.875

***

Record 6
Compound: CaSn2O4
Source: the Materials Project
Functional: GGA-PBE
Structure: optimized geometry

Computed properties:
ΔE_f = -2183.9 meV/atom
density = 5.053 g/cm³
relative energy among the computed polymorphs = 0.1269 eV/atom
DFT total energy = -6.05 eV/atom

Cell: 6.935 6.935 6.935 Å, 57.89 57.89 57.89°
Fractional coordinates of all 14 atoms:
1 Ca 0.000 0.000 0.000
2 Ca 0.379 0.379 0.379
3 Sn 0.001 0.001 0.497
4 Sn 0.001 0.497 0.001
5 Sn 0.497 0.001 0.001
6 Sn 0.620 0.620 0.620
7 O 0.202 0.752 0.752
8 O 0.235 0.235 0.235
9 O 0.245 0.245 0.795
10 O 0.245 0.795 0.245
11 O 0.752 0.202 0.752
12 O 0.752 0.752 0.202
13 O 0.775 0.775 0.775
14 O 0.795 0.245 0.245

***

Question: What is the density in the second record?
Answer: 2.569 g/cm³